No. 1
Below is an optimized crystal structure of HoAl10Ru2, with properties calculated at the PBE-GGA level.

a = 6.861 Å, b = 6.861 Å, c = 9.149 Å
α = 90.00°, β = 90.00°, γ = 96.76°
Fractional coordinates of all 26 atoms:
Ho 0.127 0.873 0.750
Ho 0.873 0.127 0.250
Al 0.139 0.414 0.750
Al 0.156 0.844 0.099
Al 0.156 0.844 0.401
Al 0.222 0.480 0.250
Al 0.227 0.227 0.000
Al 0.227 0.227 0.500
Al 0.376 0.624 0.550
Al 0.376 0.624 0.950
Al 0.414 0.139 0.250
Al 0.480 0.222 0.750
Al 0.520 0.778 0.250
Al 0.586 0.861 0.750
Al 0.624 0.376 0.050
Al 0.624 0.376 0.450
Al 0.773 0.773 0.000
Al 0.773 0.773 0.500
Al 0.778 0.520 0.750
Al 0.844 0.156 0.599
Al 0.844 0.156 0.901
Al 0.861 0.586 0.250
Ru 0.000 0.500 0.000
Ru 0.000 0.500 0.500
Ru 0.500 0.000 0.000
Ru 0.500 0.000 0.500

Results
volume: 428 Å³ per cell
formation energy: -514 meV/atom
total energy: -67.28 eV per formula unit


No. 2
Below is an optimized crystal structure of CeGaPt4, with properties calculated at the PBE-GGA level.

a = 5.505 Å, b = 5.505 Å, c = 4.277 Å
α = 90.00°, β = 90.00°, γ = 120.00°
Fractional coordinates of all 6 atoms:
Ce 0.000 0.000 0.000
Ga 0.333 0.667 0.000
Pt 0.002 0.501 0.500
Pt 0.499 0.501 0.500
Pt 0.499 0.998 0.500
Pt 0.667 0.333 0.000

Results
volume: 112 Å³ per cell
formation energy: -764 meV/atom
total energy: -37.83 eV per formula unit


No. 3
Below is an optimized crystal structure of MgTiS2, with properties calculated at the PBE-GGA level.

a = 3.433 Å, b = 3.433 Å, c = 6.794 Å
α = 104.19°, β = 104.19°, γ = 60.13°
Fractional coordinates of all 4 atoms:
Mg 0.000 0.000 0.000
Ti 0.837 0.837 0.500
S 0.247 0.247 0.737
S 0.426 0.426 0.262

Results
volume: 67 Å³ per cell
formation energy: -1436 meV/atom
total energy: -22.51 eV per formula unit


No. 4
Below is an optimized crystal structure of LiSbP2O7, with properties calculated at the PBE-GGA level.

a = 4.963 Å, b = 9.002 Å, c = 7.548 Å
α = 90.00°, β = 106.07°, γ = 90.00°
Fractional coordinates of all 22 atoms:
Li 0.204 0.000 0.154
Li 0.796 0.500 0.846
Sb 0.200 0.349 0.223
Sb 0.800 0.849 0.777
P 0.220 0.038 0.580
P 0.416 0.668 0.071
P 0.584 0.168 0.929
P 0.780 0.538 0.420
O 0.066 0.522 0.380
O 0.198 0.088 0.386
O 0.227 0.524 0.040
O 0.243 0.809 0.054
O 0.388 0.891 0.634
O 0.390 0.162 0.054
O 0.395 0.166 0.715
O 0.605 0.666 0.285
O 0.610 0.662 0.946
O 0.612 0.391 0.366
O 0.757 0.309 0.946
O 0.773 0.024 0.960
O 0.802 0.588 0.614
O 0.934 0.022 0.620

Results
volume: 324 Å³ per cell
formation energy: -2497 meV/atom
total energy: -74.16 eV per formula unit


No. 5
Below is an optimized crystal structure of Nd2TiCuO6, with properties calculated at the PBE-GGA level.

a = 5.502 Å, b = 5.838 Å, c = 9.379 Å
α = 90.00°, β = 125.78°, γ = 90.00°
Fractional coordinates of all 20 atoms:
Nd 0.234 0.068 0.249
Nd 0.234 0.432 0.749
Nd 0.766 0.568 0.251
Nd 0.766 0.932 0.751
Ti 0.500 0.000 0.000
Ti 0.500 0.500 0.500
Cu 0.000 0.000 0.500
Cu 0.000 0.500 0.000
O 0.163 0.181 0.952
O 0.163 0.319 0.452
O 0.264 0.713 0.949
O 0.264 0.787 0.449
O 0.345 0.032 0.748
O 0.345 0.468 0.248
O 0.655 0.532 0.752
O 0.655 0.968 0.252
O 0.736 0.213 0.551
O 0.736 0.287 0.051
O 0.837 0.681 0.548
O 0.837 0.819 0.048

Results
volume: 244 Å³ per cell
formation energy: -3145 meV/atom
total energy: -78.55 eV per formula unit


No. 6
Below is an optimized crystal structure of Dy4Ni, with properties calculated at the PBE-GGA level.

a = 7.487 Å, b = 7.487 Å, c = 7.487 Å
α = 60.00°, β = 60.00°, γ = 60.00°
Fractional coordinates of all 10 atoms:
Dy 0.213 0.762 0.762
Dy 0.238 0.238 0.238
Dy 0.238 0.238 0.787
Dy 0.238 0.787 0.238
Dy 0.762 0.213 0.762
Dy 0.762 0.762 0.213
Dy 0.762 0.762 0.762
Dy 0.787 0.238 0.238
Ni 0.375 0.375 0.375
Ni 0.625 0.625 0.625

Results
volume: 297 Å³ per cell
formation energy: 240 meV/atom
total energy: -23.01 eV per formula unit